[1]
# FeP5O15

A relaxed structure of FeP5O15 (r²SCAN, the Materials Project).

Cell: 5.131 13.561 8.320 Å, 90.00 95.74 90.00°
Element x y z (fractional)
Fe: 0.000 0.000 0.000
Fe: 0.000 0.500 0.000
P: 0.040 0.250 0.501
P: 0.170 0.574 0.665
P: 0.170 0.926 0.665
P: 0.493 0.640 0.956
P: 0.493 0.860 0.956
P: 0.507 0.140 0.044
P: 0.507 0.360 0.044
P: 0.830 0.074 0.335
P: 0.830 0.426 0.335
P: 0.960 0.750 0.499
O: 0.033 0.162 0.376
O: 0.033 0.338 0.376
O: 0.043 0.507 0.782
O: 0.043 0.993 0.782
O: 0.181 0.750 0.394
O: 0.219 0.124 0.017
O: 0.219 0.376 0.017
O: 0.261 0.525 0.526
O: 0.261 0.975 0.526
O: 0.285 0.250 0.615
O: 0.320 0.577 0.048
O: 0.320 0.923 0.048
O: 0.404 0.632 0.768
O: 0.404 0.868 0.768
O: 0.427 0.750 0.996
O: 0.573 0.250 0.004
O: 0.596 0.132 0.232
O: 0.596 0.368 0.232
O: 0.680 0.077 0.952
O: 0.680 0.423 0.952
O: 0.715 0.750 0.385
O: 0.739 0.025 0.474
O: 0.739 0.475 0.474
O: 0.781 0.624 0.983
O: 0.781 0.876 0.983
O: 0.819 0.250 0.606
O: 0.957 0.007 0.218
O: 0.957 0.493 0.218
O: 0.967 0.662 0.624
O: 0.967 0.838 0.624

## Properties
ΔE_f = -1959 meV/atom
Space-group type = No. 11
E = -0.3327 Ha/atom

[2]
# Fe2P2O7

A relaxed structure of Fe2P2O7 (r²SCAN, the Materials Project).

Cell: 5.520 6.309 7.394 Å, 81.32 94.56 107.05°
Element x y z (fractional)
O: 0.631 0.183 0.366
O: 0.636 0.587 0.280
O: 0.371 0.777 0.535
Fe: 0.302 0.078 0.533
Fe: 0.702 0.881 0.370
O: 0.921 0.932 0.622
O: 0.921 0.432 0.122
O: 0.081 0.028 0.281
O: 0.636 0.087 0.780
O: 0.360 0.372 0.618
O: 0.996 0.483 0.452
O: 0.081 0.528 0.781
O: 0.360 0.872 0.118
O: 0.631 0.683 0.866
P: 0.787 0.919 0.797
Fe: 0.302 0.578 0.033
Fe: 0.702 0.381 0.870
O: 0.996 0.983 0.952
O: 0.371 0.277 0.035
P: 0.212 0.542 0.604
P: 0.212 0.042 0.104
P: 0.787 0.419 0.297

## Properties
ΔE_f = -2085 meV/atom
E = -0.3728 Ha/atom

[3]
# FePO4

A relaxed structure of FePO4 (r²SCAN, the Materials Project).

Cell: 5.534 7.456 9.287 Å, 90.00 120.30 90.00°
Element x y z (fractional)
Fe: 0.171 0.192 0.061
Fe: 0.171 0.308 0.561
Fe: 0.829 0.692 0.439
Fe: 0.829 0.808 0.939
P: 0.185 0.544 0.271
P: 0.185 0.956 0.771
P: 0.815 0.044 0.229
P: 0.815 0.456 0.729
O: 0.014 0.141 0.389
O: 0.014 0.359 0.889
O: 0.046 0.526 0.382
O: 0.046 0.974 0.882
O: 0.245 0.145 0.736
O: 0.245 0.355 0.236
O: 0.454 0.650 0.372
O: 0.454 0.850 0.872
O: 0.546 0.150 0.128
O: 0.546 0.350 0.628
O: 0.755 0.645 0.764
O: 0.755 0.855 0.264
O: 0.954 0.026 0.118
O: 0.954 0.474 0.618
O: 0.986 0.641 0.111
O: 0.986 0.859 0.611

## Properties
ΔE_f = -2123 meV/atom
Space-group type = No. 14
E = -0.3678 Ha/atom

[4]
# TiZnFeP3O12

A relaxed structure of TiZnFeP3O12 (r²SCAN, the Materials Project).

Cell: 8.421 8.421 8.421 Å, 60.95 60.95 60.95°
Element x y z (fractional)
Ti: 0.000 0.000 0.000
Ti: 0.500 0.500 0.500
Zn: 0.354 0.354 0.354
Zn: 0.854 0.854 0.854
Fe: 0.212 0.212 0.212
Fe: 0.712 0.712 0.712
P: 0.108 0.402 0.811
P: 0.311 0.902 0.608
P: 0.402 0.811 0.108
P: 0.608 0.311 0.902
P: 0.811 0.108 0.402
P: 0.902 0.608 0.311
O: 0.042 0.238 0.858
O: 0.097 0.448 0.297
O: 0.113 0.912 0.768
O: 0.180 0.357 0.965
O: 0.238 0.858 0.042
O: 0.268 0.412 0.613
O: 0.297 0.097 0.448
O: 0.357 0.965 0.180
O: 0.358 0.738 0.542
O: 0.412 0.613 0.268
O: 0.448 0.297 0.097
O: 0.465 0.857 0.680
O: 0.542 0.358 0.738
O: 0.597 0.797 0.948
O: 0.613 0.268 0.412
O: 0.680 0.465 0.857
O: 0.738 0.542 0.358
O: 0.768 0.113 0.912
O: 0.797 0.948 0.597
O: 0.857 0.680 0.465
O: 0.858 0.042 0.238
O: 0.912 0.768 0.113
O: 0.948 0.597 0.797
O: 0.965 0.180 0.357

## Properties
ΔE_f = -2412 meV/atom
Space-group type = No. 161
E = -0.3641 Ha/atom

[5]
# Rb5FeO4

A relaxed structure of Rb5FeO4 (r²SCAN, the Materials Project).

Cell: 10.889 11.786 6.958 Å, 90.00 97.50 90.00°
Element x y z (fractional)
Rb: 0.007 0.139 0.422
Rb: 0.007 0.361 0.922
Rb: 0.132 0.070 0.946
Rb: 0.132 0.430 0.446
Rb: 0.259 0.704 0.485
Rb: 0.259 0.796 0.985
Rb: 0.351 0.171 0.676
Rb: 0.351 0.329 0.176
Rb: 0.487 0.588 0.226
Rb: 0.487 0.912 0.726
Rb: 0.513 0.088 0.274
Rb: 0.513 0.412 0.774
Rb: 0.649 0.671 0.824
Rb: 0.649 0.829 0.324
Rb: 0.741 0.204 0.015
Rb: 0.741 0.296 0.515
Rb: 0.868 0.570 0.554
Rb: 0.868 0.930 0.054
Rb: 0.993 0.639 0.078
Rb: 0.993 0.861 0.578
Fe: 0.247 0.533 0.876
Fe: 0.247 0.967 0.376
Fe: 0.753 0.033 0.624
Fe: 0.753 0.467 0.124
O: 0.105 0.603 0.736
O: 0.105 0.897 0.236
O: 0.231 0.541 0.145
O: 0.231 0.959 0.645
O: 0.257 0.124 0.305
O: 0.257 0.376 0.805
O: 0.394 0.612 0.830
O: 0.394 0.888 0.330
O: 0.606 0.112 0.670
O: 0.606 0.388 0.170
O: 0.743 0.624 0.195
O: 0.743 0.876 0.695
O: 0.769 0.041 0.355
O: 0.769 0.459 0.855
O: 0.895 0.103 0.764
O: 0.895 0.397 0.264

## Properties
ΔE_f = -1444 meV/atom
Space-group type = No. 14
E = -0.4498 Ha/atom

[6]
# Rb2FeO4

A relaxed structure of Rb2FeO4 (r²SCAN, the Materials Project).

Cell: 7.986 5.999 10.616 Å, 90.00 90.00 90.00°
Element x y z (fractional)
Rb: 0.015 0.250 0.195
Rb: 0.163 0.750 0.410
Rb: 0.337 0.250 0.910
Rb: 0.485 0.750 0.695
Rb: 0.515 0.250 0.305
Rb: 0.663 0.750 0.090
Rb: 0.837 0.250 0.590
Rb: 0.985 0.750 0.805
Fe: 0.233 0.750 0.080
Fe: 0.267 0.250 0.580
Fe: 0.733 0.750 0.420
Fe: 0.767 0.250 0.920
O: 0.028 0.750 0.086
O: 0.192 0.026 0.650
O: 0.192 0.474 0.650
O: 0.201 0.250 0.432
O: 0.299 0.750 0.932
O: 0.308 0.526 0.150
O: 0.308 0.974 0.150
O: 0.472 0.250 0.586
O: 0.528 0.750 0.414
O: 0.692 0.026 0.850
O: 0.692 0.474 0.850
O: 0.701 0.250 0.068
O: 0.799 0.750 0.568
O: 0.808 0.526 0.350
O: 0.808 0.974 0.350
O: 0.972 0.250 0.914

## Properties
ΔE_f = -1552 meV/atom
Space-group type = No. 62
E = -0.4044 Ha/atom

[7]
# Rb4FeO4

A relaxed structure of Rb4FeO4 (r²SCAN, the Materials Project).

Cell: 6.616 9.891 12.752 Å, 80.82 103.22 111.62°
Element x y z (fractional)
Rb: 0.019 0.986 0.853
Rb: 0.117 0.151 0.391
Rb: 0.619 0.407 0.625
Rb: 0.617 0.151 0.891
O: 0.191 0.376 0.529
Rb: 0.119 0.407 0.125
O: 0.691 0.376 0.029
O: 0.719 0.800 0.288
O: 0.906 0.257 0.724
Rb: 0.481 0.014 0.647
Rb: 0.292 0.370 0.880
O: 0.406 0.257 0.224
O: 0.281 0.200 0.712
O: 0.809 0.624 0.471
Fe: 0.949 0.760 0.375
Fe: 0.051 0.240 0.625
Fe: 0.551 0.240 0.125
O: 0.172 0.876 0.466
Rb: 0.519 0.986 0.353
O: 0.219 0.800 0.788
Rb: 0.381 0.593 0.375
Rb: 0.881 0.593 0.875
Rb: 0.383 0.849 0.109
Rb: 0.981 0.014 0.148
O: 0.672 0.876 0.966
Rb: 0.883 0.849 0.609
O: 0.309 0.624 0.971
O: 0.328 0.124 0.034
O: 0.781 0.200 0.212
Rb: 0.708 0.630 0.120
O: 0.094 0.743 0.276
Fe: 0.449 0.760 0.875
O: 0.594 0.743 0.776
Rb: 0.208 0.630 0.620
O: 0.828 0.124 0.534
Rb: 0.792 0.370 0.380

## Properties
ΔE_f = -1546 meV/atom
E = -0.4407 Ha/atom

[8]
# Rb5Fe3O6

A relaxed structure of Rb5Fe3O6 (r²SCAN, the Materials Project).

Cell: 9.601 9.601 9.601 Å, 126.70 126.70 78.73°
Element x y z (fractional)
Rb: 0.000 0.000 0.000
Rb: 0.163 0.625 0.038
Rb: 0.245 0.245 0.000
Rb: 0.375 0.413 0.538
Rb: 0.505 0.005 0.500
Rb: 0.587 0.125 0.962
Rb: 0.750 0.250 0.500
Rb: 0.755 0.755 0.000
Rb: 0.875 0.837 0.462
Rb: 0.995 0.495 0.500
Fe: 0.117 0.125 0.492
Fe: 0.250 0.750 0.500
Fe: 0.375 0.883 0.008
Fe: 0.500 0.500 0.000
Fe: 0.633 0.625 0.508
Fe: 0.875 0.367 0.992
O: 0.094 0.519 0.261
O: 0.167 0.906 0.425
O: 0.258 0.833 0.739
O: 0.269 0.344 0.761
O: 0.375 0.093 0.218
O: 0.481 0.742 0.575
O: 0.492 0.731 0.075
O: 0.583 0.508 0.239
O: 0.656 0.417 0.925
O: 0.843 0.625 0.718
O: 0.875 0.157 0.782
O: 0.907 0.125 0.282

## Properties
ΔE_f = -1557 meV/atom
Space-group type = No. 122
E = -0.4476 Ha/atom

[9]
# Rb4FeO4

A relaxed structure of Rb4FeO4 (r²SCAN, the Materials Project).

Cell: 11.165 6.602 10.618 Å, 90.00 110.78 90.00°
Element x y z (fractional)
Rb: 0.072 0.071 0.215
Rb: 0.072 0.429 0.715
Rb: 0.156 0.628 0.059
Rb: 0.156 0.872 0.559
Rb: 0.392 0.700 0.902
Rb: 0.392 0.800 0.402
Rb: 0.400 0.190 0.774
Rb: 0.400 0.310 0.274
Rb: 0.600 0.690 0.726
Rb: 0.600 0.810 0.226
Rb: 0.608 0.200 0.598
Rb: 0.608 0.300 0.098
Rb: 0.844 0.128 0.441
Rb: 0.844 0.372 0.941
Rb: 0.928 0.571 0.285
Rb: 0.928 0.929 0.785
Fe: 0.237 0.119 0.979
Fe: 0.237 0.381 0.479
Fe: 0.763 0.619 0.521
Fe: 0.763 0.881 0.021
O: 0.088 0.223 0.970
O: 0.088 0.277 0.470
O: 0.191 0.540 0.332
O: 0.191 0.960 0.832
O: 0.331 0.153 0.493
O: 0.331 0.347 0.993
O: 0.344 0.541 0.611
O: 0.344 0.959 0.111
O: 0.656 0.041 0.889
O: 0.656 0.459 0.389
O: 0.669 0.653 0.007
O: 0.669 0.847 0.507
O: 0.809 0.040 0.168
O: 0.809 0.460 0.668
O: 0.912 0.723 0.530
O: 0.912 0.777 0.030

## Properties
ΔE_f = -1547 meV/atom
Space-group type = No. 14
E = -0.4408 Ha/atom

[10]
# Rb4Fe2O5

A relaxed structure of Rb4Fe2O5 (r²SCAN, the Materials Project).

Cell: 9.482 9.482 7.259 Å, 95.17 95.17 135.92°
Element x y z (fractional)
Rb: 0.021 0.979 0.750
Rb: 0.173 0.533 0.386
Rb: 0.462 0.538 0.750
Rb: 0.467 0.827 0.114
Rb: 0.533 0.173 0.886
Rb: 0.538 0.462 0.250
Rb: 0.827 0.467 0.614
Rb: 0.979 0.021 0.250
Fe: 0.003 0.695 0.095
Fe: 0.305 0.997 0.405
Fe: 0.695 0.003 0.595
Fe: 0.997 0.305 0.905
O: 0.000 0.500 0.000
O: 0.018 0.726 0.366
O: 0.207 0.361 0.044
O: 0.274 0.982 0.134
O: 0.361 0.207 0.544
O: 0.500 0.000 0.500
O: 0.639 0.793 0.456
O: 0.726 0.018 0.866
O: 0.793 0.639 0.956
O: 0.982 0.274 0.634

## Properties
ΔE_f = -1619 meV/atom
Space-group type = No. 15
E = -0.4417 Ha/atom

[11]
# Rb6Fe2O5

A relaxed structure of Rb6Fe2O5 (r²SCAN, the Materials Project).

Cell: 6.871 6.871 6.948 Å, 92.95 92.95 116.65°
Element x y z (fractional)
Rb: 0.000 0.000 0.000
Rb: 0.286 0.286 0.653
Rb: 0.402 0.892 0.323
Rb: 0.442 0.855 0.829
Rb: 0.855 0.442 0.829
Rb: 0.892 0.402 0.323
Fe: 0.460 0.460 0.134
Fe: 0.850 0.850 0.493
O: 0.076 0.806 0.602
O: 0.212 0.483 0.053
O: 0.483 0.212 0.053
O: 0.711 0.711 0.245
O: 0.806 0.076 0.602

## Properties
ΔE_f = -1404 meV/atom
Space-group type = No. 8
E = -0.4538 Ha/atom

- What is the formula in the tenth record?
  Rb4Fe2O5

- Which value of ΔE_f does entry 11 give?
  -1404 meV/atom

- The lowest ΔE_f belongs to which entry?
  TiZnFeP3O12

- Among the records above, which one has the lowest ΔE_f?
  TiZnFeP3O12